Version P
The following is a DFT calculation (PBE) of an optimized crystal structure of CaNb2Te4Cl10O.

Results
The calculation puts the spin magnetization at 2.1 μB per cell. As for the symmetry: P1.

Lattice parameters (Å, degrees): 7.1490 8.9756 9.7682 94.03 93.11 106.53
Fractional positions:
Ca: 0.0000 0.0000 0.0000
Nb: 0.4028 0.1860 0.7998
Nb: 0.4340 0.9074 0.0797
Te: 0.0927 0.6384 0.6082
Te: 0.7034 0.4604 0.3002
Te: 0.8148 0.7371 0.4635
Te: 0.9840 0.3631 0.4438
Cl: 0.0484 0.0134 0.7222
Cl: 0.1169 0.7291 0.9884
Cl: 0.2195 0.3067 0.9606
Cl: 0.2593 0.0419 0.2342
Cl: 0.3637 0.3731 0.6403
Cl: 0.4492 0.7285 0.2529
Cl: 0.4978 0.0316 0.6319
Cl: 0.6270 0.7941 0.9250
Cl: 0.7119 0.3460 0.8769
Cl: 0.7547 0.0918 0.1798
O: 0.4035 0.0469 0.9427


Version Q
The following is a DFT calculation (PBE) of an optimized crystal structure of CaNb2Te4Cl10O.

Results
The calculation puts the spin magnetization at 0.1 μB per cell. As for the symmetry: P1.

Lattice parameters (Å, degrees): 6.9427 9.1537 9.6302 96.66 93.55 108.20
Fractional positions:
Ca: 0.0000 0.0000 0.0000
Nb: 0.6149 0.5804 0.0281
Nb: 0.6502 0.3183 0.3040
Te: 0.0763 0.1512 0.6746
Te: 0.2162 0.7664 0.6495
Te: 0.3893 0.0602 0.8033
Te: 0.9476 0.8709 0.4967
Cl: 0.2700 0.4567 0.9294
Cl: 0.3040 0.1383 0.2126
Cl: 0.5071 0.4503 0.4635
Cl: 0.5268 0.7549 0.1914
Cl: 0.6465 0.7991 0.8605
Cl: 0.6803 0.1284 0.4514
Cl: 0.7283 0.4485 0.8402
Cl: 0.7824 0.1744 0.1116
Cl: 0.9830 0.7339 0.0989
Cl: 0.9876 0.4830 0.3828
O: 0.6248 0.4448 0.1556


Most stable one: version P, least stable one: version Q.


Version P
The following is a DFT calculation (PBE) of an optimized crystal structure of CaNb2Te4Cl10O.

Results
The calculation puts the spin magnetization at 0.2 μB per cell. As for the symmetry: P1.

Lattice parameters (Å, degrees): 7.1253 8.9597 10.0298 91.33 96.64 112.69
Fractional positions:
Ca: 0.0000 0.0000 0.0000
Nb: 0.3523 0.7509 0.7011
Nb: 0.3999 0.4765 0.9763
Te: 0.0988 0.2070 0.5006
Te: 0.6504 0.0109 0.2050
Te: 0.8128 0.3021 0.3597
Te: 0.9459 0.9165 0.3478
Cl: 0.0517 0.2948 0.8912
Cl: 0.2626 0.9093 0.8771
Cl: 0.2993 0.5936 0.1532
Cl: 0.3470 0.9619 0.5486
Cl: 0.3683 0.2427 0.1381
Cl: 0.4586 0.6160 0.5445
Cl: 0.5637 0.3560 0.8488
Cl: 0.7165 0.9337 0.7722
Cl: 0.7683 0.6792 0.0718
Cl: 0.9985 0.5975 0.6285
O: 0.3762 0.6185 0.8446


Version Q
The following is a DFT calculation (PBE) of an optimized crystal structure of CaNb2Te4Cl10O.

Results
The calculation puts the spin magnetization at 0.0 μB per cell. As for the symmetry: P1.

Lattice parameters (Å, degrees): 7.1418 9.1030 9.5125 81.32 89.38 76.97
Fractional positions:
Ca: 0.0000 0.0000 0.0000
Nb: 0.8295 0.0155 0.3997
Nb: 0.8573 0.3040 0.6486
Te: 0.2011 0.7080 0.8308
Te: 0.2480 0.4575 0.0438
Te: 0.4673 0.8186 0.9799
Te: 0.5407 0.5497 0.1718
Cl: 0.0333 0.4322 0.4874
Cl: 0.1423 0.8626 0.4400
Cl: 0.1621 0.1219 0.7579
Cl: 0.5290 0.1665 0.2993
Cl: 0.5557 0.4451 0.5737
Cl: 0.6878 0.8495 0.5508
Cl: 0.6940 0.1468 0.8353
Cl: 0.8117 0.8442 0.1949
Cl: 0.8908 0.4598 0.8281
Cl: 0.9805 0.1744 0.2035
O: 0.8509 0.1491 0.5253


Most stable one: version Q, least stable one: version P.


Version P
The following is a DFT calculation (PBE) of an optimized crystal structure of Rb12CaCl4O4.

Results
The calculation puts the spin magnetization at 0.0 μB per cell. As for the symmetry: Pm.

Lattice parameters (Å, degrees): 7.9971 11.3557 8.4185 90.00 99.62 90.00
Fractional positions:
Rb: 0.0000 0.0000 0.0000
Rb: 0.1108 0.5000 0.0897
Rb: 0.2830 0.2188 0.3457
Rb: 0.2830 0.7812 0.3457
Rb: 0.3201 0.1988 0.8888
Rb: 0.3201 0.8012 0.8888
Rb: 0.4032 0.5000 0.6444
Rb: 0.6464 0.0000 0.5444
Rb: 0.7917 0.2366 0.2090
Rb: 0.7917 0.7634 0.2090
Rb: 0.8376 0.2996 0.7352
Rb: 0.8376 0.7004 0.7352
Ca: 0.6515 0.5000 0.3650
Cl: 0.0074 0.5000 0.4565
Cl: 0.0550 0.0000 0.5502
Cl: 0.4776 0.0000 0.1735
Cl: 0.5967 0.5000 0.0249
O: 0.0595 0.2500 0.0386
O: 0.0595 0.7500 0.0386
O: 0.5727 0.3437 0.4695
O: 0.5727 0.6563 0.4695


Version Q
The following is a DFT calculation (PBE) of an optimized crystal structure of Rb12CaCl4O4.

Results
The calculation puts the spin magnetization at 0.0 μB per cell. As for the symmetry: P1.

Lattice parameters (Å, degrees): 7.8443 7.9300 13.0120 84.36 77.87 88.35
Fractional positions:
Rb: 0.0000 0.0000 0.0000
Rb: 0.0026 0.4133 0.0858
Rb: 0.0604 0.5950 0.6200
Rb: 0.1005 0.0753 0.6764
Rb: 0.2922 0.6881 0.8586
Rb: 0.4386 0.8939 0.4293
Rb: 0.4978 0.4074 0.1643
Rb: 0.5334 0.9435 0.0653
Rb: 0.5569 0.5157 0.6012
Rb: 0.6022 0.0277 0.6873
Rb: 0.7257 0.3660 0.8538
Rb: 0.9227 0.2903 0.4256
Ca: 0.0935 0.7709 0.2320
Cl: 0.1917 0.1014 0.2332
Cl: 0.2973 0.2734 0.8430
Cl: 0.7511 0.6969 0.2366
Cl: 0.8177 0.7803 0.8430
O: 0.2180 0.7180 0.0848
O: 0.3559 0.8070 0.6412
O: 0.7443 0.2254 0.0446
O: 0.8394 0.3068 0.6326


Most stable one: version P, least stable one: version Q.